This record from the Materials Project database describes a relaxed structure of SiO2. The functional is PBE-GGA.

Computed properties:
Space-group type: Cmme
Crystal system: orthorhombic

Lattice parameters (Å, degrees): 13.384 13.384 20.856 90.00 90.00 116.84
Fractional coordinates of all 168 atoms:
Si  0.549  0.451  0.308
Si  0.049  0.951  0.692
Si  0.559  0.815  0.936
Si  0.315  0.059  0.936
Si  0.222  0.356  0.185
Si  0.050  0.950  0.946
Si  0.528  0.472  0.819
Si  0.364  0.864  0.876
Si  0.028  0.972  0.181
Si  0.136  0.636  0.876
Si  0.972  0.028  0.819
Si  0.183  0.432  0.693
Si  0.356  0.222  0.815
Si  0.432  0.183  0.307
Si  0.278  0.144  0.185
Si  0.317  0.068  0.693
Si  0.472  0.528  0.181
Si  0.644  0.778  0.185
Si  0.134  0.634  0.724
Si  0.645  0.781  0.431
Si  0.856  0.722  0.185
Si  0.866  0.366  0.276
Si  0.068  0.317  0.307
Si  0.722  0.856  0.815
Si  0.815  0.559  0.064
Si  0.466  0.534  0.432
Si  0.683  0.932  0.307
Si  0.685  0.941  0.064
Si  0.219  0.355  0.431
Si  0.966  0.034  0.568
Si  0.550  0.450  0.054
Si  0.778  0.644  0.815
Si  0.144  0.278  0.815
Si  0.281  0.145  0.431
Si  0.941  0.685  0.936
Si  0.781  0.645  0.569
Si  0.951  0.049  0.308
Si  0.059  0.315  0.064
Si  0.932  0.683  0.693
Si  0.534  0.466  0.568
Si  0.441  0.185  0.064
Si  0.568  0.817  0.693
Si  0.817  0.568  0.307
Si  0.855  0.719  0.431
Si  0.864  0.364  0.124
Si  0.450  0.550  0.946
Si  0.355  0.219  0.569
Si  0.719  0.855  0.569
Si  0.634  0.134  0.276
Si  0.034  0.966  0.432
Si  0.636  0.136  0.124
Si  0.145  0.281  0.569
Si  0.366  0.866  0.724
Si  0.185  0.441  0.936
Si  0.950  0.050  0.054
Si  0.451  0.549  0.692
O  0.361  0.973  0.691
O  0.648  0.033  0.090
O  0.495  0.318  0.301
O  0.522  0.478  0.126
O  0.250  0.250  0.577
O  0.001  0.999  0.749
O  0.995  0.818  0.699
O  0.527  0.139  0.309
O  0.973  0.361  0.309
O  0.336  0.473  0.176
O  0.473  0.336  0.824
O  0.163  0.349  0.881
O  0.502  0.684  0.956
O  0.888  0.388  0.200
O  0.750  0.250  0.113
O  0.027  0.639  0.691
O  0.362  0.146  0.374
O  0.148  0.533  0.910
O  0.651  0.837  0.881
O  0.664  0.527  0.824
O  0.999  0.001  0.251
O  0.868  0.652  0.246
O  0.157  0.343  0.500
O  0.498  0.316  0.044
O  0.639  0.027  0.309
O  0.473  0.861  0.691
O  0.638  0.854  0.626
O  0.387  0.113  0.000
O  0.652  0.868  0.754
O  0.316  0.498  0.956
O  0.476  0.331  0.573
O  0.816  0.998  0.044
O  0.478  0.522  0.874
O  0.861  0.473  0.309
O  0.352  0.967  0.910
O  0.146  0.362  0.626
O  0.632  0.848  0.246
O  0.682  0.505  0.301
O  0.852  0.467  0.090
O  0.348  0.132  0.246
O  0.984  0.016  0.376
O  0.354  0.138  0.626
O  0.843  0.657  0.500
O  0.024  0.169  0.573
O  0.976  0.831  0.427
O  0.027  0.164  0.824
O  0.862  0.646  0.626
O  0.000  0.000  0.500
O  0.501  0.499  0.251
O  0.484  0.516  0.624
O  0.139  0.527  0.691
O  0.684  0.502  0.044
O  0.854  0.638  0.374
O  0.250  0.250  0.197
O  0.318  0.495  0.699
O  0.250  0.750  0.712
O  0.250  0.750  0.887
O  0.967  0.352  0.090
O  0.646  0.862  0.374
O  0.663  0.849  0.119
O  0.499  0.501  0.749
O  0.831  0.976  0.573
O  0.750  0.750  0.197
O  0.505  0.682  0.699
O  0.368  0.152  0.754
O  0.516  0.484  0.376
O  0.250  0.250  0.803
O  0.467  0.852  0.910
O  0.527  0.664  0.176
O  0.500  0.500  0.500
O  0.343  0.157  0.500
O  0.000  0.000  0.000
O  0.337  0.151  0.881
O  0.750  0.750  0.577
O  0.836  0.973  0.824
O  0.005  0.182  0.301
O  0.138  0.354  0.374
O  0.169  0.024  0.427
O  0.887  0.613  0.000
O  0.849  0.663  0.881
O  0.750  0.750  0.423
O  0.613  0.887  0.000
O  0.848  0.632  0.754
O  0.837  0.651  0.119
O  0.151  0.337  0.119
O  0.818  0.995  0.301
O  0.973  0.836  0.176
O  0.022  0.978  0.874
O  0.132  0.348  0.754
O  0.250  0.250  0.423
O  0.033  0.648  0.910
O  0.152  0.368  0.246
O  0.182  0.005  0.699
O  0.002  0.184  0.044
O  0.016  0.984  0.624
O  0.112  0.612  0.800
O  0.388  0.888  0.800
O  0.500  0.500  0.000
O  0.750  0.250  0.288
O  0.978  0.022  0.126
O  0.533  0.148  0.090
O  0.184  0.002  0.956
O  0.750  0.750  0.803
O  0.669  0.524  0.573
O  0.612  0.112  0.200
O  0.657  0.843  0.500
O  0.524  0.669  0.427
O  0.998  0.816  0.956
O  0.349  0.163  0.119
O  0.164  0.027  0.176
O  0.331  0.476  0.427
O  0.113  0.387  0.000

---

This record from the Materials Project database describes a relaxed structure of KZnCl3O. The functional is PBE-GGA.

Computed properties:
Space-group type: P2_12_12_1
Crystal system: orthorhombic

Lattice parameters (Å, degrees): 6.544 8.103 11.822 90.00 90.00 90.00
Fractional coordinates of all 24 atoms:
K  0.190  0.979  0.514
K  0.690  0.521  0.486
K  0.810  0.479  0.986
K  0.310  0.021  0.014
Zn  0.756  0.928  0.273
Zn  0.256  0.572  0.727
Zn  0.244  0.428  0.227
Zn  0.744  0.072  0.773
Cl  0.693  0.905  0.459
Cl  0.193  0.595  0.541
Cl  0.307  0.405  0.041
Cl  0.807  0.095  0.959
Cl  0.584  0.744  0.157
Cl  0.084  0.756  0.843
Cl  0.416  0.244  0.343
Cl  0.916  0.256  0.657
Cl  0.101  0.873  0.246
Cl  0.601  0.627  0.754
Cl  0.899  0.373  0.254
Cl  0.399  0.127  0.746
O  0.665  0.139  0.207
O  0.165  0.361  0.793
O  0.335  0.639  0.293
O  0.835  0.861  0.707

---

This record from the Materials Project database describes a relaxed structure of LaMgI5. The functional is PBE-GGA.

Computed properties:
Offset from the most stable computed form in eV/atom: 0.079
Space-group type: P2_1/c
Crystal system: monoclinic

Lattice parameters (Å, degrees): 15.303 7.858 11.876 74.49 90.00 90.00
Fractional coordinates of all 28 atoms:
La  0.746  0.158  0.875
La  0.754  0.658  0.375
La  0.246  0.342  0.625
La  0.254  0.842  0.125
Mg  0.049  0.787  0.773
Mg  0.549  0.713  0.727
Mg  0.451  0.287  0.273
Mg  0.951  0.213  0.227
I  0.065  0.475  0.705
I  0.797  0.432  0.634
I  0.375  0.613  0.697
I  0.893  0.327  0.999
I  0.625  0.474  0.913
I  0.435  0.975  0.205
I  0.703  0.932  0.134
I  0.125  0.113  0.197
I  0.607  0.827  0.499
I  0.875  0.974  0.413
I  0.125  0.026  0.587
I  0.393  0.173  0.501
I  0.875  0.887  0.803
I  0.297  0.068  0.866
I  0.565  0.025  0.795
I  0.375  0.526  0.087
I  0.107  0.673  0.001
I  0.625  0.387  0.303
I  0.203  0.568  0.366
I  0.935  0.525  0.295

---

This record from the Materials Project database describes a relaxed structure of TeW2Se3. The functional is PBE-GGA.

Computed properties:
Space-group type: P3m1
Crystal system: trigonal

Lattice parameters (Å, degrees): 3.380 3.380 38.560 90.00 90.00 120.00
Fractional coordinates of all 12 atoms:
Te  0.333  0.667  0.707
Te  0.333  0.667  0.608
W  0.333  0.667  0.094
W  0.333  0.667  0.470
W  0.667  0.333  0.282
W  0.667  0.333  0.658
Se  0.333  0.667  0.325
Se  0.667  0.333  0.051
Se  0.667  0.333  0.427
Se  0.667  0.333  0.137
Se  0.667  0.333  0.513
Se  0.333  0.667  0.239

---

For each record above, in turn, the calculated ΔE_f values are -3.250, -1.001, -1.515, -0.651 eV/atom.